## Li3MnVP3O12 (GGA+U)

Data for an optimized crystal structure of Li3MnVP3O12.

Values from the calculation:
* energy of formation from the pure elements: -2.639 eV per atom

The structure in POSCAR format:
```
Li3MnVP3O12
1.0
-4.868 5.146 4.822
-6.616 -1.231 -5.555
-3.469 -9.737 6.368
O P Mn Li V
48 12 4 12 4
Direct
0.952 0.130 0.557
0.897 0.638 0.416
0.442 0.080 0.311
0.051 0.667 0.601
0.950 0.332 0.400
0.449 0.386 0.602
0.548 0.613 0.396
0.688 0.322 0.934
0.548 0.632 0.943
0.813 0.824 0.565
0.674 0.230 0.688
0.446 0.167 0.899
0.601 0.139 0.082
0.378 0.701 0.666
0.398 0.863 0.917
0.188 0.176 0.436
0.137 0.418 0.975
0.126 0.995 0.248
0.874 0.796 0.169
0.949 0.109 0.103
0.104 0.362 0.584
0.738 0.452 0.565
0.765 0.951 0.937
0.238 0.049 0.067
0.049 0.870 0.444
0.231 0.471 0.781
0.313 0.678 0.065
0.729 0.031 0.276
0.270 0.969 0.719
0.554 0.836 0.099
0.371 0.494 0.250
0.623 0.298 0.333
0.172 0.271 0.189
0.056 0.583 0.192
0.861 0.580 0.030
0.826 0.730 0.812
0.362 0.918 0.527
0.326 0.770 0.311
0.641 0.080 0.470
0.628 0.506 0.747
0.454 0.372 0.054
0.944 0.419 0.814
0.768 0.528 0.222
0.053 0.889 0.898
0.124 0.202 0.834
0.558 0.919 0.688
0.260 0.548 0.433
0.872 0.007 0.754
0.543 0.251 0.991
0.116 0.110 0.148
0.885 0.890 0.853
0.957 0.751 0.510
0.616 0.390 0.647
0.044 0.249 0.490
0.385 0.881 0.649
0.457 0.750 0.009
0.116 0.381 0.852
0.615 0.118 0.349
0.886 0.618 0.152
0.382 0.611 0.351
0.246 0.463 0.110
0.254 0.527 0.606
0.248 0.030 0.894
0.746 0.473 0.393
0.819 0.221 0.822
0.065 0.513 0.345
0.420 0.585 0.808
0.319 0.280 0.322
0.935 0.487 0.654
0.435 0.015 0.153
0.579 0.414 0.191
0.082 0.085 0.692
0.919 0.914 0.308
0.181 0.779 0.177
0.565 0.987 0.846
0.681 0.719 0.677
0.756 0.973 0.104
0.755 0.535 0.892
0.745 0.036 0.609
0.255 0.964 0.390
```

## Li3MnVP3O12 (GGA+U)

Data for an optimized crystal structure of Li3MnVP3O12.

Values from the calculation:
* energy of formation from the pure elements: -2.600 eV per atom

The structure in POSCAR format:
```
Li3MnVP3O12
1.0
2.677 -6.808 6.616
7.990 -2.927 -4.988
5.931 6.177 4.782
Mn Li O P V
4 12 48 12 4
Direct
0.974 0.257 0.278
0.534 0.466 0.500
0.756 0.244 0.500
0.743 0.026 0.722
0.564 0.775 0.467
0.250 0.023 0.387
0.735 0.772 0.180
0.228 0.265 0.820
0.225 0.436 0.533
0.919 0.308 0.980
0.513 0.988 0.247
0.692 0.081 0.020
0.373 0.251 0.191
0.977 0.750 0.613
0.749 0.627 0.809
0.012 0.487 0.753
0.116 0.388 0.206
0.209 0.090 0.943
0.183 0.689 0.326
0.406 0.799 0.348
0.377 0.667 0.138
0.581 0.450 0.139
0.550 0.419 0.861
0.879 0.633 0.288
0.388 0.537 0.369
0.699 0.199 0.850
0.676 0.372 0.641
0.910 0.791 0.057
0.824 0.907 0.559
0.895 0.182 0.624
0.098 0.398 0.944
0.201 0.594 0.652
0.367 0.121 0.712
0.106 0.837 0.875
0.093 0.176 0.441
0.912 0.715 0.813
0.612 0.884 0.794
0.573 0.193 0.159
0.311 0.817 0.674
0.110 0.047 0.666
0.463 0.612 0.631
0.322 0.420 0.053
0.105 0.308 0.658
0.403 0.095 0.449
0.032 0.127 0.130
0.818 0.105 0.376
0.163 0.894 0.125
0.905 0.597 0.551
0.953 0.890 0.334
0.285 0.088 0.187
0.580 0.678 0.947
0.801 0.301 0.150
0.873 0.968 0.870
0.677 0.589 0.439
0.874 0.400 0.409
0.333 0.623 0.862
0.692 0.895 0.342
0.602 0.902 0.056
0.628 0.324 0.359
0.389 0.875 0.929
0.411 0.323 0.561
0.600 0.126 0.591
0.807 0.427 0.841
0.125 0.611 0.071
0.160 0.452 0.068
0.054 0.183 0.595
0.324 0.659 0.698
0.444 0.162 0.575
0.650 0.312 0.200
0.817 0.946 0.405
0.688 0.350 0.800
0.548 0.840 0.932
0.946 0.827 0.903
0.341 0.676 0.302
0.173 0.054 0.097
0.838 0.556 0.425
0.247 0.753 0.000
0.472 0.528 0.000
0.248 0.972 0.782
0.028 0.752 0.218
```

## Li6MnV3P6O24 (GGA+U)

Data for an optimized crystal structure of Li6MnV3P6O24.

Values from the calculation:
* energy of formation from the pure elements: -2.645 eV per atom

The structure in POSCAR format:
```
Li6MnV3P6O24
1.0
9.801 0.000 0.000
0.485 9.814 0.000
0.565 0.858 9.786
O P V Li Mn
48 12 6 12 2
Direct
0.361 0.623 0.327
0.339 0.696 0.902
0.558 0.827 0.915
0.207 0.094 0.379
0.654 0.110 0.307
0.334 0.958 0.891
0.667 0.310 0.816
0.436 0.086 0.177
0.140 0.372 0.674
0.189 0.287 0.084
0.053 0.605 0.905
0.942 0.208 0.091
0.446 0.677 0.593
0.550 0.911 0.593
0.368 0.399 0.545
0.846 0.801 0.425
0.158 0.578 0.196
0.139 0.592 0.456
0.069 0.312 0.410
0.347 0.405 0.808
0.790 0.621 0.883
0.132 0.033 0.122
0.158 0.806 0.297
0.876 0.108 0.838
0.289 0.877 0.628
0.920 0.395 0.879
0.415 0.868 0.395
0.081 0.117 0.603
0.846 0.698 0.197
0.660 0.114 0.046
0.943 0.094 0.395
0.556 0.411 0.321
0.944 0.587 0.681
0.122 0.164 0.890
0.862 0.323 0.627
0.653 0.190 0.596
0.863 0.540 0.411
0.863 0.875 0.969
0.714 0.379 0.119
0.643 0.670 0.379
0.627 0.896 0.188
0.333 0.184 0.689
0.055 0.909 0.794
0.452 0.409 0.089
0.372 0.825 0.112
0.810 0.913 0.714
0.636 0.454 0.600
0.586 0.610 0.129
0.302 0.340 0.683
0.427 0.837 0.556
0.928 0.553 0.841
0.402 0.822 0.951
0.096 0.174 0.052
0.805 0.679 0.352
0.699 0.316 0.659
0.594 0.054 0.183
0.199 0.650 0.319
0.901 0.947 0.827
0.574 0.446 0.161
0.073 0.152 0.446
0.217 0.028 0.747
0.281 0.967 0.250
0.503 0.751 0.251
0.002 0.462 0.535
0.782 0.255 0.971
0.501 0.532 0.468
0.756 0.013 0.494
0.174 0.733 0.771
0.824 0.231 0.267
0.463 0.568 0.785
0.612 0.987 0.746
0.975 0.920 0.303
0.816 0.746 0.627
0.183 0.378 0.248
0.022 0.692 0.081
0.537 0.218 0.437
0.387 0.260 0.005
0.239 0.511 0.984
0.722 0.742 0.029
0.000 0.244 0.754
```

Record order is preserved below.
Distance to the lowest polymorph of the same formula: 0.017, 0.056, 0.041 eV/atom
Record order is preserved below.
Magnetization: 0.300, 0.300, 0.250 μB/atom